# 1
Compound: BaTb2Mn2O7
Source: the Materials Project
Functional: PBE+U
Structure: optimized geometry

Unit cell a=10.357 b=10.357 c=5.603 alpha=90.00 beta=90.00 gamma=148.23
Atoms (fractional coordinates):
Mn 0.141 0.349 0.755
Mn 0.651 0.859 0.245
Mn 0.859 0.651 0.245
Mn 0.349 0.141 0.755
O 0.391 0.609 0.000
O 0.535 0.114 0.716
O 0.872 0.128 0.000
O 0.220 0.220 0.764
O 0.886 0.465 0.284
O 0.400 0.600 0.500
O 0.780 0.780 0.236
O 0.465 0.886 0.284
O 0.609 0.391 0.000
O 0.600 0.400 0.500
O 0.114 0.535 0.716
O 0.128 0.872 0.000
O 0.882 0.118 0.500
O 0.118 0.882 0.500
Ba 0.741 0.741 0.746
Ba 0.259 0.259 0.254
Tb 0.539 0.906 0.727
Tb 0.094 0.461 0.273
Tb 0.461 0.094 0.273
Tb 0.906 0.539 0.727

- Relative energy among the computed polymorphs: 0 meV/atom


# 2
Compound: EuMnO3
Source: the Materials Project
Functional: PBE+U
Structure: optimized geometry

Unit cell a=5.479 b=5.527 c=7.791 alpha=90.00 beta=90.00 gamma=90.00
Atoms (fractional coordinates):
O 0.572 0.016 0.750
O 0.290 0.709 0.962
O 0.210 0.209 0.962
O 0.710 0.291 0.462
O 0.710 0.291 0.038
O 0.928 0.516 0.750
O 0.072 0.484 0.250
O 0.428 0.984 0.250
O 0.790 0.791 0.462
O 0.790 0.791 0.038
O 0.210 0.209 0.538
O 0.290 0.709 0.538
Eu 0.006 0.962 0.750
Eu 0.994 0.038 0.250
Eu 0.494 0.462 0.750
Eu 0.506 0.538 0.250
Mn 0.500 0.000 0.500
Mn 0.000 0.500 0.500
Mn 0.500 0.000 0.000
Mn 0.000 0.500 0.000


# 3
Compound: LiMnVP3O12
Source: the Materials Project
Functional: PBE+U
Structure: optimized geometry

Unit cell a=9.162 b=8.265 c=8.259 alpha=61.11 beta=61.99 gamma=92.06
Atoms (fractional coordinates):
O 0.586 0.967 0.795
O 0.182 0.191 0.282
O 0.891 0.206 0.278
O 0.824 0.820 0.708
O 0.182 0.539 0.991
O 0.746 0.736 0.389
O 0.267 0.123 0.990
O 0.822 0.459 0.011
O 0.422 0.633 0.348
O 0.737 0.880 0.006
O 0.818 0.518 0.659
O 0.267 0.267 0.593
O 0.575 0.216 0.402
O 0.096 0.843 0.382
O 0.898 0.505 0.327
O 0.412 0.045 0.214
O 0.736 0.103 0.151
O 0.901 0.167 0.610
O 0.104 0.491 0.673
O 0.186 0.488 0.338
O 0.110 0.781 0.724
O 0.270 0.897 0.841
O 0.425 0.785 0.587
O 0.580 0.370 0.648
Mn 0.570 0.855 0.280
Mn 0.436 0.139 0.721
Li 0.369 0.188 0.376
Li 0.889 0.933 0.363
P 0.752 0.242 0.218
P 0.752 0.957 0.788
P 0.754 0.532 0.507
P 0.254 0.753 0.781
P 0.249 0.467 0.496
P 0.249 0.048 0.209
V 0.955 0.644 0.707
V 0.048 0.360 0.304

- Relative energy among the computed polymorphs: 2 meV/atom


# 4
Compound: V4O5F7
Source: the Materials Project
Functional: PBE+U
Structure: optimized geometry

Unit cell a=5.269 b=5.354 c=17.330 alpha=83.58 beta=81.67 gamma=60.73
Atoms (fractional coordinates):
O 0.508 0.907 0.670
O 0.000 0.556 0.309
O 0.246 0.804 0.561
O 0.522 0.925 0.189
O 0.017 0.426 0.687
O 0.496 0.053 0.810
O 0.805 0.800 0.042
O 0.267 0.679 0.933
O 0.764 0.185 0.435
O 0.014 0.405 0.169
F 0.214 0.192 0.958
F 0.043 0.042 0.288
F 0.254 0.834 0.083
F 0.970 0.936 0.710
F 0.757 0.164 0.913
F 0.994 0.565 0.831
F 0.541 0.538 0.788
F 0.753 0.310 0.584
F 0.733 0.692 0.460
F 0.731 0.329 0.061
F 0.474 0.436 0.209
F 0.499 0.069 0.332
F 0.291 0.286 0.538
F 0.262 0.668 0.412
V 0.478 0.528 0.505
V 0.983 0.981 0.003
V 0.206 0.294 0.248
V 0.126 0.148 0.631
V 0.359 0.396 0.880
V 0.703 0.790 0.748
V 0.861 0.909 0.380
V 0.631 0.654 0.131

- Relative energy among the computed polymorphs: 15 meV/atom


# 5
Compound: Sr2CdWO6
Source: the Materials Project
Functional: PBE+U
Structure: optimized geometry

Unit cell a=5.894 b=5.953 c=8.349 alpha=90.00 beta=90.00 gamma=90.00
Atoms (fractional coordinates):
Cd 0.500 0.471 0.000
Cd 0.000 0.998 0.500
W 0.500 0.491 0.500
W 0.000 0.968 0.000
O 0.755 0.184 0.000
O 0.500 0.485 0.268
O 0.245 0.184 0.000
O 0.777 0.724 0.000
O 0.500 0.485 0.732
O 0.731 0.725 0.500
O 0.223 0.724 0.000
O 0.269 0.725 0.500
O 0.000 0.959 0.233
O 0.000 0.959 0.767
O 0.735 0.263 0.500
O 0.265 0.263 0.500
Sr 0.500 0.990 0.751
Sr 0.000 0.516 0.254
Sr 0.500 0.990 0.249
Sr 0.000 0.516 0.746


# 6
Compound: MgMoP2O7
Source: the Materials Project
Functional: PBE+U
Structure: optimized geometry

Unit cell a=5.531 b=5.529 c=4.604 alpha=81.36 beta=98.68 gamma=76.93
Atoms (fractional coordinates):
O 0.440 0.776 0.744
O 0.074 0.567 0.796
O 0.770 0.445 0.268
O 0.561 0.080 0.217
O 0.814 0.099 0.721
O 0.093 0.821 0.292
O 0.386 0.392 0.506
P 0.650 0.253 0.420
P 0.248 0.656 0.593
Mg 0.772 0.778 0.007
Mo 0.152 0.158 0.007

- Relative energy among the computed polymorphs: 0 meV/atom


| no. | energy of formation from the pure elements (eV/f.u.) |
| --- | --- |
| 1 | -36.17 |
| 2 | -13.29 |
| 3 | -45.03 |
| 4 | -43.96 |
| 5 | -25.41 |
| 6 | -28.11 |